A relaxed KBC4NF9 crystal, computed with meta-GGA r2SCAN.

Unit cell a=9.197 b=9.609 c=10.431 alpha=90.00 beta=90.00 gamma=90.00
Positions (direct):
C: 0.985 0.379 0.750
C: 0.394 0.336 0.122
C: 0.606 0.664 0.622
C: 0.485 0.121 0.250
C: 0.106 0.836 0.122
C: 0.146 0.156 0.750
C: 0.015 0.621 0.250
C: 0.354 0.656 0.750
C: 0.106 0.836 0.378
C: 0.515 0.879 0.750
C: 0.394 0.336 0.378
C: 0.894 0.164 0.622
C: 0.606 0.664 0.878
C: 0.646 0.344 0.250
C: 0.894 0.164 0.878
C: 0.854 0.844 0.250
K: 0.510 0.283 0.750
K: 0.990 0.783 0.750
K: 0.490 0.717 0.250
K: 0.010 0.217 0.250
F: 0.847 0.987 0.250
F: 0.381 0.478 0.387
F: 0.619 0.522 0.887
F: 0.881 0.022 0.613
F: 0.381 0.478 0.113
F: 0.274 0.697 0.646
F: 0.774 0.803 0.146
F: 0.255 0.286 0.385
F: 0.755 0.214 0.885
F: 0.245 0.786 0.385
F: 0.226 0.197 0.646
F: 0.274 0.697 0.854
F: 0.960 0.206 0.989
F: 0.460 0.294 0.011
F: 0.726 0.303 0.354
F: 0.119 0.978 0.113
F: 0.255 0.286 0.115
F: 0.153 0.013 0.750
F: 0.540 0.706 0.989
F: 0.726 0.303 0.146
F: 0.119 0.978 0.387
F: 0.755 0.214 0.615
F: 0.619 0.522 0.613
F: 0.040 0.794 0.489
F: 0.881 0.022 0.887
F: 0.540 0.706 0.511
F: 0.226 0.197 0.854
F: 0.347 0.513 0.750
F: 0.653 0.487 0.250
F: 0.774 0.803 0.354
F: 0.245 0.786 0.115
F: 0.040 0.794 0.011
F: 0.745 0.714 0.885
F: 0.960 0.206 0.511
F: 0.745 0.714 0.615
F: 0.460 0.294 0.489
B: 0.020 0.784 0.250
B: 0.480 0.284 0.250
B: 0.520 0.716 0.750
B: 0.980 0.216 0.750
N: 0.512 0.999 0.750
N: 0.012 0.501 0.250
N: 0.488 0.001 0.250
N: 0.988 0.499 0.750

Computed properties:
For the total magnetic moment, the calculation gives 0.0 μB/f.u. As for the space-group type: Pnma (62). The calculated formation energy is -23.86 eV per formula unit. For the total DFT energy (no corrections), the calculation gives -7.14 eV per atom.

---

A relaxed MgB7 crystal, computed with meta-GGA r2SCAN.

Unit cell a=5.958 b=7.247 c=7.247 alpha=92.13 beta=114.28 gamma=114.28
Positions (direct):
B: 0.476 0.809 0.642
B: 0.676 0.094 0.759
B: 0.208 0.033 0.377
B: 0.819 0.599 0.227
B: 0.116 0.974 0.757
B: 0.116 0.757 0.974
B: 0.507 0.227 0.599
B: 0.208 0.377 0.033
B: 0.524 0.358 0.191
B: 0.702 0.377 0.033
B: 0.324 0.241 0.906
B: 0.492 0.773 0.401
B: 0.524 0.191 0.358
B: 0.819 0.227 0.599
B: 0.702 0.033 0.377
B: 0.884 0.243 0.026
B: 0.884 0.026 0.243
B: 0.181 0.773 0.401
B: 0.507 0.599 0.227
B: 0.792 0.623 0.967
B: 0.492 0.401 0.773
B: 0.676 0.759 0.094
B: 0.792 0.967 0.623
B: 0.476 0.642 0.809
B: 0.324 0.906 0.241
B: 0.181 0.401 0.773
B: 0.298 0.623 0.967
B: 0.298 0.967 0.623
Mg: 0.000 0.000 0.000
Mg: 0.866 0.615 0.615
Mg: 0.500 0.000 0.000
Mg: 0.134 0.385 0.385

Computed properties:
For the total magnetic moment, the calculation gives 0.0 μB/f.u. As for the space-group type: C2/m (12). The calculated formation energy is -1.26 eV per formula unit. For the total DFT energy (no corrections), the calculation gives -7.11 eV per atom.

---

A relaxed PrErIn2 crystal, computed with meta-GGA r2SCAN.

Unit cell a=5.381 b=5.381 c=5.381 alpha=60.00 beta=60.00 gamma=60.00
Positions (direct):
Er: 0.250 0.250 0.250
Pr: 0.750 0.750 0.750
In: 0.000 0.000 0.000
In: 0.500 0.500 0.500

Computed properties:
For the total magnetic moment, the calculation gives 0.0 μB/f.u. As for the space-group type: Fm-3m (225). The calculated formation energy is -2.30 eV per formula unit. For the total DFT energy (no corrections), the calculation gives -27.70 eV per atom.